No. 1
Compound: SnPt
Source: the Materials Project database
Functional: PBE
Structure: relaxed

Calculated values
SG = P6_3/mmc, No. 194
Energy = -22.5 eV/cell
Crystal system = hexagonal

Cell lengths 4.1847, 4.1847, 5.5177 Å; angles 90.00, 90.00, 120.00 degrees
Closest atoms and distances in Å follow each position.
Fractional coordinates of all 4 atoms:
Sn  0.3333  0.6667  0.2500  6 Pt 2.78
Sn  0.6667  0.3333  0.7500  6 Pt 2.78
Pt  0.0000  0.0000  0.0000  2 Pt 2.76, 6 Sn 2.78
Pt  0.0000  0.0000  0.5000  2 Pt 2.76, 6 Sn 2.78

No. 2
Compound: TbSnPt2
Source: the Materials Project database
Functional: PBE
Structure: relaxed

Calculated values
SG = P6_3/mmc, No. 194
Energy = -49.6 eV/cell
Crystal system = hexagonal

Cell lengths 4.5627, 4.5627, 9.1727 Å; angles 90.00, 90.00, 120.00 degrees
Closest atoms and distances in Å follow each position.
Fractional coordinates of all 8 atoms:
Tb  0.3333  0.6667  0.2500  8 Pt 3.01-3.13
Tb  0.6667  0.3333  0.7500  8 Pt 3.01-3.13
Sn  0.0000  0.0000  0.0000  6 Pt 2.76
Sn  0.0000  0.0000  0.5000  6 Pt 2.76
Pt  0.3333  0.6667  0.5907  3 Sn 2.76, 1 Pt 2.92, 3 Tb 3.01
Pt  0.3333  0.6667  0.9093  3 Sn 2.76, 1 Pt 2.92, 3 Tb 3.01
Pt  0.6667  0.3333  0.0907  3 Sn 2.76, 1 Pt 2.92, 3 Tb 3.01
Pt  0.6667  0.3333  0.4093  3 Sn 2.76, 1 Pt 2.92, 3 Tb 3.01

No. 3
Compound: TbSnPt2
Source: the Materials Project database
Functional: PBE
Structure: relaxed

Calculated values
SG = P6_3/mmc, No. 194
Energy = -48.1 eV/cell
Crystal system = hexagonal

Cell lengths 4.8451, 4.8451, 8.3130 Å; angles 90.00, 90.00, 120.00 degrees
Closest atoms and distances in Å follow each position.
Fractional coordinates of all 8 atoms:
Tb  0.0000  0.0000  0.0000  6 Pt 2.89
Tb  0.0000  0.0000  0.5000  6 Pt 2.89
Sn  0.3333  0.6667  0.2500  8 Pt 2.81-3.11
Sn  0.6667  0.3333  0.7500  8 Pt 2.81-3.11
Pt  0.3333  0.6667  0.5876  1 Pt 2.70, 1 Sn 2.81, 3 Tb 2.89
Pt  0.3333  0.6667  0.9124  1 Pt 2.70, 1 Sn 2.81, 3 Tb 2.89
Pt  0.6667  0.3333  0.0876  1 Pt 2.70, 1 Sn 2.81, 3 Tb 2.89
Pt  0.6667  0.3333  0.4124  1 Pt 2.70, 1 Sn 2.81, 3 Tb 2.89

No. 4
Compound: TbSnPt
Source: the Materials Project database
Functional: PBE
Structure: relaxed

Calculated values
SG = P-62m, No. 189
Energy = -53.9 eV/cell
Crystal system = hexagonal

Cell lengths 7.5460, 7.5460, 4.0371 Å; angles 90.00, 90.00, 120.00 degrees
Closest atoms and distances in Å follow each position.
Fractional coordinates of all 9 atoms:
Tb  0.0000  0.5939  0.0000  5 Pt 3.05-3.06, 6 Sn 3.25-3.36
Tb  0.4061  0.4061  0.0000  5 Pt 3.05-3.06, 6 Sn 3.25-3.36
Tb  0.5939  0.0000  0.0000  5 Pt 3.05-3.06, 6 Sn 3.25-3.36
Sn  0.0000  0.2572  0.5000  4 Pt 2.80-2.85
Sn  0.2572  0.0000  0.5000  4 Pt 2.80-2.85
Sn  0.7428  0.7428  0.5000  4 Pt 2.80-2.85
Pt  0.0000  0.0000  0.0000  6 Sn 2.80, 3 Tb 3.06
Pt  0.3333  0.6667  0.5000  3 Sn 2.85, 6 Tb 3.05
Pt  0.6667  0.3333  0.5000  3 Sn 2.85, 6 Tb 3.05

No. 5
Compound: TbSnPt
Source: the Materials Project database
Functional: PBE
Structure: relaxed

Calculated values
SG = Pnma, No. 62
Energy = -71.6 eV/cell
Crystal system = orthorhombic

Cell lengths 7.2506, 4.5788, 8.0708 Å; angles 90.00, 90.00, 90.00 degrees
Closest atoms and distances in Å follow each position.
Fractional coordinates of all 12 atoms:
Tb  0.0106  0.2500  0.1968  5 Pt 3.05-3.25, 6 Sn 3.20-3.36
Tb  0.4894  0.7500  0.6968  5 Pt 3.05-3.25, 6 Sn 3.20-3.36
Tb  0.5106  0.2500  0.3032  5 Pt 3.05-3.25, 6 Sn 3.20-3.36
Tb  0.9894  0.7500  0.8032  5 Pt 3.05-3.25, 6 Sn 3.20-3.36
Sn  0.1796  0.2500  0.5845  4 Pt 2.70-2.87
Sn  0.3204  0.7500  0.0845  4 Pt 2.70-2.87
Sn  0.6796  0.2500  0.9155  4 Pt 2.70-2.87
Sn  0.8204  0.7500  0.4155  4 Pt 2.70-2.87
Pt  0.2161  0.7500  0.4095  4 Sn 2.70-2.87
Pt  0.2839  0.2500  0.9095  4 Sn 2.70-2.87
Pt  0.7161  0.7500  0.0905  4 Sn 2.70-2.87
Pt  0.7839  0.2500  0.5905  4 Sn 2.70-2.87

No. 6
Compound: SnTePt
Source: the Materials Project database
Functional: PBE
Structure: relaxed

Calculated values
SG = P2_13, No. 198
Energy = -59.0 eV/cell
Crystal system = cubic

Cell lengths 6.5982, 6.5982, 6.5982 Å; angles 90.00, 90.00, 90.00 degrees
Closest atoms and distances in Å follow each position.
Fractional coordinates of all 12 atoms:
Sn  0.1265  0.3735  0.6265  3 Pt 2.72, 1 Te 2.89
Sn  0.3735  0.6265  0.1265  3 Pt 2.72, 1 Te 2.89
Sn  0.6265  0.1265  0.3735  3 Pt 2.72, 1 Te 2.89
Sn  0.8735  0.8735  0.8735  3 Pt 2.72, 1 Te 2.89
Te  0.1263  0.1263  0.1263  3 Pt 2.74, 1 Sn 2.89
Te  0.3737  0.8737  0.6263  3 Pt 2.74, 1 Sn 2.89
Te  0.6263  0.3737  0.8737  3 Pt 2.74, 1 Sn 2.89
Te  0.8737  0.6263  0.3737  3 Pt 2.74, 1 Sn 2.89
Pt  0.0019  0.5019  0.9981  3 Sn 2.72, 3 Te 2.74
Pt  0.4981  0.4981  0.4981  3 Sn 2.72, 3 Te 2.74
Pt  0.5019  0.9981  0.0019  3 Sn 2.72, 3 Te 2.74
Pt  0.9981  0.0019  0.5019  3 Sn 2.72, 3 Te 2.74

No. 7
Compound: TmSnPt2
Source: the Materials Project database
Functional: PBE
Structure: relaxed

Calculated values
SG = P6_3/mmc, No. 194
Energy = -48.0 eV/cell
Crystal system = hexagonal

Cell lengths 4.7368, 4.7368, 8.4561 Å; angles 90.00, 90.00, 120.00 degrees
Closest atoms and distances in Å follow each position.
Fractional coordinates of all 8 atoms:
Tm  0.0000  0.0000  0.0000  6 Pt 2.84
Tm  0.0000  0.0000  0.5000  6 Pt 2.84
Sn  0.3333  0.6667  0.2500  8 Pt 2.87-3.05
Sn  0.6667  0.3333  0.7500  8 Pt 2.87-3.05
Pt  0.3333  0.6667  0.5898  1 Pt 2.71, 3 Tm 2.84, 1 Sn 2.87
Pt  0.3333  0.6667  0.9102  1 Pt 2.71, 3 Tm 2.84, 1 Sn 2.87
Pt  0.6667  0.3333  0.0898  1 Pt 2.71, 3 Tm 2.84, 1 Sn 2.87
Pt  0.6667  0.3333  0.4102  1 Pt 2.71, 3 Tm 2.84, 1 Sn 2.87

No. 8
Compound: U3Sn4Pt3
Source: the Materials Project database
Functional: PBE
Structure: relaxed

Calculated values
SG = I-43d, No. 220
Energy = -145.2 eV/cell
Crystal system = cubic

Cell lengths 8.4461, 8.4461, 8.4461 Å; angles 109.47, 109.47, 109.47 degrees
Closest atoms and distances in Å follow each position.
Fractional coordinates of all 20 atoms:
U  0.1250  0.8750  0.2500  4 Pt 2.99, 4 Sn 3.33
U  0.2500  0.1250  0.8750  4 Pt 2.99, 4 Sn 3.33
U  0.3750  0.6250  0.7500  4 Pt 2.99, 4 Sn 3.33
U  0.6250  0.7500  0.3750  4 Pt 2.99, 4 Sn 3.33
U  0.7500  0.3750  0.6250  4 Pt 2.99, 4 Sn 3.33
U  0.8750  0.2500  0.1250  4 Pt 2.99, 4 Sn 3.33
Sn  0.0000  0.1759  0.5000  3 Pt 2.75
Sn  0.0000  0.6759  0.5000  3 Pt 2.75
Sn  0.1759  0.5000  0.0000  3 Pt 2.75
Sn  0.3241  0.3241  0.3241  3 Pt 2.75
Sn  0.5000  0.0000  0.1759  3 Pt 2.75
Sn  0.5000  0.0000  0.6759  3 Pt 2.75
Sn  0.6759  0.5000  0.0000  3 Pt 2.75
Sn  0.8241  0.8241  0.8241  3 Pt 2.75
Pt  0.1250  0.7500  0.8750  4 Sn 2.75, 4 U 2.99
Pt  0.2500  0.6250  0.3750  4 Sn 2.75, 4 U 2.99
Pt  0.3750  0.2500  0.6250  4 Sn 2.75, 4 U 2.99
Pt  0.6250  0.3750  0.2500  4 Sn 2.75, 4 U 2.99
Pt  0.7500  0.8750  0.1250  4 Sn 2.75, 4 U 2.99
Pt  0.8750  0.1250  0.7500  4 Sn 2.75, 4 U 2.99

Number 1: E_form -1.1 eV/f.u.. Number 2: E_form -4.0 eV/f.u.. Number 3: E_form -3.3 eV/f.u.. Number 4: E_form -3.3 eV/f.u.. Number 5: E_form -3.2 eV/f.u.. Number 6: E_form -1.5 eV/f.u.. Number 7: E_form -3.4 eV/f.u.. Number 8: E_form -4.5 eV/f.u..